Below is crystalline CaYMg14 at its relaxed geometry, with properties calculated at the PBE level.

## Properties
The calculation puts the uncorrected energy at -30.8 eV/cell. The value obtained for the distance to the lowest polymorph of the same formula is 0.0 meV/atom. Its formation energy is 0.05 eV per formula unit.

Cell: 6.6160 6.6160 10.4535 Å, 90.00 90.00 120.00°
Space group P-6m2 (No. 187)
Symmetry-distinct sites (fractional):
Ca1 0.0000 0.0000 0.0000 (multiplicity 1)
Y1 0.0000 0.0000 0.5000 (multiplicity 1)
Mg1 0.0046 0.5023 0.0000 (multiplicity 3)
Mg2 0.0065 0.5032 0.5000 (multiplicity 3)
Mg3 0.1699 0.3398 0.2514 (multiplicity 6)
Mg4 0.6667 0.3333 0.2500 (multiplicity 2)